No. 1
This record from the Materials Project database describes a geometry-optimized Ho3Sb4Au3 structure. The functional is meta-GGA r2SCAN.

a = 8.536 Å, b = 8.536 Å, c = 8.536 Å
α = 109.47°, β = 109.47°, γ = 109.47°
Fractional coordinates of all 20 atoms:
1 Ho 0.125 0.875 0.250
2 Ho 0.250 0.125 0.875
3 Ho 0.375 0.625 0.750
4 Ho 0.625 0.750 0.375
5 Ho 0.750 0.375 0.625
6 Ho 0.875 0.250 0.125
7 Sb 0.000 0.176 0.500
8 Sb 0.000 0.676 0.500
9 Sb 0.176 0.500 0.000
10 Sb 0.324 0.324 0.324
11 Sb 0.500 0.000 0.176
12 Sb 0.500 0.000 0.676
13 Sb 0.676 0.500 0.000
14 Sb 0.824 0.824 0.824
15 Au 0.125 0.750 0.875
16 Au 0.250 0.625 0.375
17 Au 0.375 0.250 0.625
18 Au 0.625 0.375 0.250
19 Au 0.750 0.875 0.125
20 Au 0.875 0.125 0.750

Values from the calculation:
E_tot in eV per atom: -36.237
Magnetization in μB/atom: 0.000
E_form in eV per formula unit: -9.142
SG: I-43d (220)

***

No. 2
This record from the Materials Project database describes a geometry-optimized Cs2KCrCl6 structure. The functional is meta-GGA r2SCAN.

a = 7.545 Å, b = 7.545 Å, c = 7.545 Å
α = 60.00°, β = 60.00°, γ = 60.00°
Fractional coordinates of all 10 atoms:
1 Cs 0.250 0.250 0.250
2 Cs 0.750 0.750 0.750
3 K 0.000 0.000 0.000
4 Cr 0.500 0.500 0.500
5 Cl 0.279 0.279 0.721
6 Cl 0.279 0.721 0.279
7 Cl 0.279 0.721 0.721
8 Cl 0.721 0.279 0.279
9 Cl 0.721 0.279 0.721
10 Cl 0.721 0.721 0.279

Values from the calculation:
E_tot in eV per atom: -12.771
Magnetization in μB/atom: 0.300
E_form in eV per formula unit: -19.488
SG: Fm-3m (225)

***

No. 3
This record from the Materials Project database describes a geometry-optimized LaCo4B4 structure. The functional is meta-GGA r2SCAN.

a = 7.086 Å, b = 7.086 Å, c = 3.772 Å
α = 90.00°, β = 90.00°, γ = 90.00°
Fractional coordinates of all 18 atoms:
1 La 0.250 0.250 0.250
2 La 0.750 0.750 0.750
3 Co 0.108 0.634 0.145
4 Co 0.134 0.892 0.645
5 Co 0.366 0.608 0.645
6 Co 0.392 0.866 0.145
7 Co 0.608 0.134 0.855
8 Co 0.634 0.392 0.355
9 Co 0.866 0.108 0.355
10 Co 0.892 0.366 0.855
11 B 0.047 0.911 0.147
12 B 0.089 0.547 0.647
13 B 0.411 0.953 0.647
14 B 0.453 0.589 0.147
15 B 0.547 0.411 0.853
16 B 0.589 0.047 0.353
17 B 0.911 0.453 0.353
18 B 0.953 0.089 0.853

Values from the calculation:
E_tot in eV per atom: -12.819
Magnetization in μB/atom: 0.000
E_form in eV per formula unit: -3.306
SG: P4_2/n (86)

***

No. 4
This record from the Materials Project database describes a geometry-optimized B6As structure. The functional is meta-GGA r2SCAN.

a = 5.317 Å, b = 5.317 Å, c = 5.317 Å
α = 70.49°, β = 70.49°, γ = 70.49°
Fractional coordinates of all 14 atoms:
1 B 0.175 0.485 0.485
2 B 0.228 0.678 0.678
3 B 0.322 0.322 0.772
4 B 0.322 0.772 0.322
5 B 0.485 0.175 0.485
6 B 0.485 0.485 0.175
7 B 0.515 0.515 0.825
8 B 0.515 0.825 0.515
9 B 0.678 0.228 0.678
10 B 0.678 0.678 0.228
11 B 0.772 0.322 0.322
12 B 0.825 0.515 0.515
13 As 0.101 0.101 0.101
14 As 0.899 0.899 0.899

Values from the calculation:
E_tot in eV per atom: -8.607
Magnetization in μB/atom: 0.000
E_form in eV per formula unit: -1.464
SG: R-3m (166)

***

No. 5
This record from the Materials Project database describes a geometry-optimized NdInRh structure. The functional is meta-GGA r2SCAN.

a = 7.581 Å, b = 7.581 Å, c = 4.055 Å
α = 90.00°, β = 90.00°, γ = 120.00°
Fractional coordinates of all 9 atoms:
1 Nd 0.000 0.590 0.000
2 Nd 0.410 0.410 0.000
3 Nd 0.590 0.000 0.000
4 In 0.000 0.250 0.500
5 In 0.250 0.000 0.500
6 In 0.750 0.750 0.500
7 Rh 0.000 0.000 0.000
8 Rh 0.333 0.667 0.500
9 Rh 0.667 0.333 0.500

Values from the calculation:
E_tot in eV per atom: -26.177
Magnetization in μB/atom: 0.000
E_form in eV per formula unit: -2.398
SG: P-62m (189)

***

No. 6
This record from the Materials Project database describes a geometry-optimized PrAu structure. The functional is meta-GGA r2SCAN.

a = 6.031 Å, b = 6.031 Å, c = 4.769 Å
α = 90.00°, β = 90.00°, γ = 142.04°
Fractional coordinates of all 4 atoms:
1 Pr 0.136 0.864 0.750
2 Pr 0.864 0.136 0.250
3 Au 0.414 0.586 0.750
4 Au 0.586 0.414 0.250

Values from the calculation:
E_tot in eV per atom: -40.878
Magnetization in μB/atom: 0.000
E_form in eV per formula unit: -1.766
SG: Cmcm (63)

***

No. 7
This record from the Materials Project database describes a geometry-optimized Cr2GeC structure. The functional is meta-GGA r2SCAN.

a = 2.982 Å, b = 2.982 Å, c = 12.217 Å
α = 90.00°, β = 90.00°, γ = 120.00°
Fractional coordinates of all 8 atoms:
1 Cr 0.333 0.667 0.089
2 Cr 0.333 0.667 0.411
3 Cr 0.667 0.333 0.589
4 Cr 0.667 0.333 0.911
5 Ge 0.333 0.667 0.750
6 Ge 0.667 0.333 0.250
7 C 0.000 0.000 0.000
8 C 0.000 0.000 0.500

Values from the calculation:
E_tot in eV per atom: -13.502
Magnetization in μB/atom: 1.085
E_form in eV per formula unit: -0.041
SG: P6_3/mmc (194)

***

No. 8
This record from the Materials Project database describes a geometry-optimized NdFeO3 structure. The functional is meta-GGA r2SCAN.

a = 5.639 Å, b = 7.777 Å, c = 5.461 Å
α = 90.00°, β = 90.00°, γ = 90.00°
Fractional coordinates of all 20 atoms:
1 Nd 0.055 0.250 0.013
2 Nd 0.445 0.750 0.513
3 Nd 0.555 0.250 0.487
4 Nd 0.945 0.750 0.987
5 Fe 0.000 0.000 0.500
6 Fe 0.000 0.500 0.500
7 Fe 0.500 0.000 0.000
8 Fe 0.500 0.500 0.000
9 O 0.026 0.750 0.408
10 O 0.204 0.548 0.796
11 O 0.204 0.952 0.796
12 O 0.296 0.048 0.296
13 O 0.296 0.452 0.296
14 O 0.474 0.250 0.908
15 O 0.526 0.750 0.092
16 O 0.704 0.548 0.704
17 O 0.704 0.952 0.704
18 O 0.796 0.048 0.204
19 O 0.796 0.452 0.204
20 O 0.974 0.250 0.592

Values from the calculation:
E_tot in eV per atom: -15.066
Magnetization in μB/atom: 0.999
E_form in eV per formula unit: -13.582
SG: Pnma (62)